Computed, not measured: a geometry-optimized CsMg6C structure at the PBE-GGA level of DFT.

Summary:
**Symmetry**: C2, No. 5
**Formation energy**: 0.37 eV per atom
**Relative energy among the computed polymorphs**: 0.000 eV per atom

a b c (Å): 12.1588 12.1588 3.5354
angles (deg): 85.36 85.36 152.53
Fractional positions:
Mg1 0.1582 0.8418 0.5000
Mg2 0.2744 0.1951 0.1244
Mg3 0.6333 0.3667 0.5000
C1 0.4619 0.5381 0.0000
Mg4 0.1967 0.3147 0.6271
Mg5 0.8049 0.7256 0.8756
Cs1 0.7829 0.2171 0.0000
Mg6 0.6853 0.8033 0.3729